{"formula": "Mn2InAgTe4", "functional": "GGA-PBE", "state": "optimized geometry", "formation_energy_ev_per_atom": -0.4008, "spacegroup": "I-42m", "magnetic_moment_mub_per_cell": 10.000, "e_tot_ev_per_cell": -38.0, "lattice_angstrom": [[-5.088, -3.935, -0.656], [-3.951, 5.117, -0.056], [1.116, 4.879, -6.058]], "species": ["Ag", "In", "Te", "Te", "Te", "Mn", "Te", "Mn"], "frac_coords": [[0.000, 0.000, 0.000], [0.500, 0.500, 0.000], [0.379, 0.117, 0.262], [0.883, 0.621, 0.262], [0.621, 0.379, 0.738], [0.250, 0.250, 0.500], [0.117, 0.883, 0.738], [0.750, 0.750, 0.500]]}